[1]
First-principles (PBE-GGA) data for a relaxed H24PdC8N2Cl4 crystal, as listed in Materials Project.

Cell: 8.9806 8.9806 11.5935 Å, 90.00 90.00 90.00°
Fractional positions:
H (0.0246, 0.6622, 0.1190)
H (0.9754, 0.3378, 0.1190)
H (0.4754, 0.1622, 0.6190)
H (0.5246, 0.8378, 0.6190)
H (0.9754, 0.3378, 0.8810)
H (0.0246, 0.6622, 0.8810)
H (0.5246, 0.8378, 0.3810)
H (0.4754, 0.1622, 0.3810)
H (0.6622, 0.0246, 0.1190)
H (0.3378, 0.9754, 0.1190)
H (0.1622, 0.4754, 0.6190)
H (0.8378, 0.5246, 0.6190)
H (0.3378, 0.9754, 0.8810)
H (0.6622, 0.0246, 0.8810)
H (0.8378, 0.5246, 0.3810)
H (0.1622, 0.4754, 0.3810)
H (0.8445, 0.5716, 0.1243)
H (0.1555, 0.4284, 0.1243)
H (0.6555, 0.0716, 0.6243)
H (0.3445, 0.9284, 0.6243)
H (0.1555, 0.4284, 0.8757)
H (0.8445, 0.5716, 0.8757)
H (0.3445, 0.9284, 0.3757)
H (0.6555, 0.0716, 0.3757)
H (0.5716, 0.8445, 0.1243)
H (0.4284, 0.1555, 0.1243)
H (0.0716, 0.6555, 0.6243)
H (0.9284, 0.3445, 0.6243)
H (0.4284, 0.1555, 0.8757)
H (0.5716, 0.8445, 0.8757)
H (0.9284, 0.3445, 0.3757)
H (0.0716, 0.6555, 0.3757)
H (0.8951, 0.7099, 0.2306)
H (0.1049, 0.2901, 0.2306)
H (0.6049, 0.2099, 0.7306)
H (0.3951, 0.7901, 0.7306)
H (0.1049, 0.2901, 0.7694)
H (0.8951, 0.7099, 0.7694)
H (0.3951, 0.7901, 0.2694)
H (0.6049, 0.2099, 0.2694)
H (0.7099, 0.8951, 0.2306)
H (0.2901, 0.1049, 0.2306)
H (0.2099, 0.6049, 0.7306)
H (0.7901, 0.3951, 0.7306)
H (0.2901, 0.1049, 0.7694)
H (0.7099, 0.8951, 0.7694)
H (0.7901, 0.3951, 0.2694)
H (0.2099, 0.6049, 0.2694)
Pd (0.5000, 0.5000, 0.0000)
Pd (0.0000, 0.0000, 0.5000)
C (0.9355, 0.6200, 0.1750)
C (0.0645, 0.3800, 0.1750)
C (0.5645, 0.1200, 0.6750)
C (0.4355, 0.8800, 0.6750)
C (0.0645, 0.3800, 0.8250)
C (0.9355, 0.6200, 0.8250)
C (0.4355, 0.8800, 0.3250)
C (0.5645, 0.1200, 0.3250)
C (0.6200, 0.9355, 0.1750)
C (0.3800, 0.0645, 0.1750)
C (0.1200, 0.5645, 0.6750)
C (0.8800, 0.4355, 0.6750)
C (0.3800, 0.0645, 0.8250)
C (0.6200, 0.9355, 0.8250)
C (0.8800, 0.4355, 0.3250)
C (0.1200, 0.5645, 0.3250)
N (0.0000, 0.5000, 0.2500)
N (0.5000, 0.0000, 0.7500)
N (0.0000, 0.5000, 0.7500)
N (0.5000, 0.0000, 0.2500)
Cl (0.5000, 0.5000, 0.7995)
Cl (0.0000, 0.0000, 0.2995)
Cl (0.5000, 0.5000, 0.2005)
Cl (0.0000, 0.0000, 0.7005)
Cl (0.3156, 0.6844, 0.0000)
Cl (0.6844, 0.3156, 0.0000)
Cl (0.1844, 0.1844, 0.5000)
Cl (0.8156, 0.8156, 0.5000)

ρ: 1.4 Mg/m³
raw total energy: -389.0 eV per cell
magnetic moment: 0.0 μB per formula unit

***

[2]
First-principles (PBE-GGA) data for a relaxed H16PdC4S4N8Cl2 crystal, as listed in Materials Project.

Cell: 8.4314 13.2361 15.4413 Å, 90.00 90.00 90.00°
Fractional positions:
H (0.4863, 0.2993, 0.7182)
H (0.5137, 0.7007, 0.2182)
H (0.9863, 0.2007, 0.2182)
H (0.0137, 0.7993, 0.7182)
H (0.4073, 0.3536, 0.8110)
H (0.5927, 0.6464, 0.3110)
H (0.9073, 0.1464, 0.3110)
H (0.0927, 0.8536, 0.8110)
H (0.8864, 0.3693, 0.7720)
H (0.1136, 0.6307, 0.2720)
H (0.3864, 0.1307, 0.2720)
H (0.6136, 0.8693, 0.7720)
H (0.7644, 0.3312, 0.6853)
H (0.2356, 0.6688, 0.1853)
H (0.2644, 0.1688, 0.1853)
H (0.7356, 0.8312, 0.6853)
H (0.3202, 0.6506, 0.8559)
H (0.6798, 0.3494, 0.3559)
H (0.8202, 0.8494, 0.3559)
H (0.1798, 0.1506, 0.8559)
H (0.3052, 0.5296, 0.8972)
H (0.6948, 0.4704, 0.3972)
H (0.8052, 0.9704, 0.3972)
H (0.1948, 0.0296, 0.8972)
H (0.5851, 0.7399, 0.0155)
H (0.4149, 0.2601, 0.5155)
H (0.0851, 0.7601, 0.5155)
H (0.9149, 0.2399, 0.0155)
H (0.4718, 0.7736, 0.9249)
H (0.5282, 0.2264, 0.4249)
H (0.9718, 0.7264, 0.4249)
H (0.0282, 0.2736, 0.9249)
H (0.6479, 0.2252, 0.1194)
H (0.3521, 0.7748, 0.6194)
H (0.1479, 0.2748, 0.6194)
H (0.8521, 0.7252, 0.1194)
H (0.6244, 0.1055, 0.1631)
H (0.3756, 0.8945, 0.6631)
H (0.1244, 0.3945, 0.6631)
H (0.8756, 0.6055, 0.1631)
H (0.5604, 0.9712, 0.0676)
H (0.4396, 0.0288, 0.5676)
H (0.0604, 0.5288, 0.5676)
H (0.9396, 0.4712, 0.0676)
H (0.4641, 0.9988, 0.9703)
H (0.5359, 0.0012, 0.4703)
H (0.9641, 0.5012, 0.4703)
H (0.0359, 0.4988, 0.9703)
H (0.5460, 0.3878, 0.1889)
H (0.4540, 0.6122, 0.6889)
H (0.0460, 0.1122, 0.6889)
H (0.9540, 0.8878, 0.1889)
H (0.4573, 0.4307, 0.2842)
H (0.5427, 0.5693, 0.7842)
H (0.9573, 0.0693, 0.7842)
H (0.0427, 0.9307, 0.2842)
H (0.1811, 0.4108, 0.3036)
H (0.8189, 0.5892, 0.8036)
H (0.6811, 0.0892, 0.8036)
H (0.3189, 0.9108, 0.3036)
H (0.0618, 0.3819, 0.2136)
H (0.9382, 0.6181, 0.7136)
H (0.5618, 0.1181, 0.7136)
H (0.4382, 0.8819, 0.2136)
Pd (0.4901, 0.3737, 0.9987)
Pd (0.5099, 0.6263, 0.4987)
Pd (0.9901, 0.1263, 0.4987)
Pd (0.0099, 0.8737, 0.9987)
C (0.6501, 0.3660, 0.8000)
C (0.3499, 0.6340, 0.3000)
C (0.1501, 0.1340, 0.3000)
C (0.8499, 0.8660, 0.8000)
C (0.4570, 0.6242, 0.9631)
C (0.5430, 0.3758, 0.4631)
C (0.9570, 0.8758, 0.4631)
C (0.0430, 0.1242, 0.9631)
C (0.5407, 0.1227, 0.0385)
C (0.4593, 0.8773, 0.5385)
C (0.0407, 0.3773, 0.5385)
C (0.9593, 0.6227, 0.0385)
C (0.3021, 0.3805, 0.1908)
C (0.6979, 0.6195, 0.6908)
C (0.8021, 0.1195, 0.6908)
C (0.1979, 0.8805, 0.1908)
S (0.6857, 0.4222, 0.8993)
S (0.3143, 0.5778, 0.3993)
S (0.1857, 0.0778, 0.3993)
S (0.8143, 0.9222, 0.8993)
S (0.5005, 0.5434, 0.0473)
S (0.4995, 0.4566, 0.5473)
S (0.0005, 0.9566, 0.5473)
S (0.9995, 0.0434, 0.0473)
S (0.5029, 0.2033, 0.9527)
S (0.4971, 0.7967, 0.4527)
S (0.0029, 0.2967, 0.4527)
S (0.9971, 0.7033, 0.9527)
S (0.2773, 0.3310, 0.0884)
S (0.7227, 0.6690, 0.5884)
S (0.7773, 0.1690, 0.5884)
S (0.2227, 0.8310, 0.0884)
N (0.5058, 0.3378, 0.7746)
N (0.4942, 0.6622, 0.2746)
N (0.0058, 0.1622, 0.2746)
N (0.9942, 0.8378, 0.7746)
N (0.7752, 0.3559, 0.7477)
N (0.2248, 0.6441, 0.2477)
N (0.2752, 0.1441, 0.2477)
N (0.7248, 0.8559, 0.7477)
N (0.3662, 0.5963, 0.8954)
N (0.6338, 0.4037, 0.3954)
N (0.8662, 0.9037, 0.3954)
N (0.1338, 0.0963, 0.8954)
N (0.5148, 0.7177, 0.9652)
N (0.4852, 0.2823, 0.4652)
N (0.0148, 0.7823, 0.4652)
N (0.9852, 0.2177, 0.9652)
N (0.5980, 0.1549, 0.1144)
N (0.4020, 0.8451, 0.6144)
N (0.0980, 0.3451, 0.6144)
N (0.9020, 0.6549, 0.1144)
N (0.5122, 0.0246, 0.0269)
N (0.4878, 0.9754, 0.5269)
N (0.0122, 0.4754, 0.5269)
N (0.9878, 0.5246, 0.0269)
N (0.4447, 0.4027, 0.2230)
N (0.5553, 0.5973, 0.7230)
N (0.9447, 0.0973, 0.7230)
N (0.0553, 0.9027, 0.2230)
N (0.1728, 0.3927, 0.2397)
N (0.8272, 0.6073, 0.7397)
N (0.6728, 0.1073, 0.7397)
N (0.3272, 0.8927, 0.2397)
Cl (0.8256, 0.3488, 0.1528)
Cl (0.1744, 0.6512, 0.6528)
Cl (0.3256, 0.1512, 0.6528)
Cl (0.6744, 0.8488, 0.1528)
Cl (0.1362, 0.3936, 0.8424)
Cl (0.8638, 0.6064, 0.3424)
Cl (0.6362, 0.1064, 0.3424)
Cl (0.3638, 0.8936, 0.8424)

ρ: 1.9 Mg/m³
raw total energy: -774.8 eV per cell
magnetic moment: 0.0 μB per formula unit

***

Question: The highest ρ belongs to which entry?
Answer: H16PdC4S4N8Cl2